## BeSiIr2 (r²SCAN)

Data for a relaxed BeSiIr2 crystal.

The structure in CIF format:
```
data_BeSiIr2
_symmetry_space_group_name_H-M 'F m -3 m'
_symmetry_Int_Tables_number 225
_symmetry_space_group_name_Hall '-F 4 2 3'
_cell_length_a 5.750
_cell_length_b 5.750
_cell_length_c 5.750
_cell_angle_alpha 90.00
_cell_angle_beta 90.00
_cell_angle_gamma 90.00
loop_
_atom_site_label
_atom_site_fract_x
_atom_site_fract_y
_atom_site_fract_z
_atom_site_occupancy
Be1 0.000 0.000 0.000 1
Si1 0.000 0.000 0.500 1
Ir1 0.250 0.250 0.250 1
```

Computed properties:
Total DFT energy (no corrections) in eV per atom: -30.157
Theoretical density in kg/m3: 14729